No. 1
Li2VCrO4: optimized geometry, PBE+U.

a b c (Å): 5.957 5.957 5.148
angles (deg): 106.33 106.33 60.50
Sites, in units of the cell vectors:
Li  0.124  0.374  0.247
Li  0.374  0.124  0.747
Li  0.626  0.876  0.253
Li  0.876  0.626  0.753
V  0.376  0.624  0.750
V  0.624  0.376  0.250
Cr  0.123  0.877  0.250
Cr  0.877  0.123  0.750
O  0.009  0.764  0.508
O  0.236  0.991  0.992
O  0.260  0.513  0.011
O  0.487  0.740  0.489
O  0.513  0.260  0.511
O  0.740  0.487  0.989
O  0.764  0.009  0.008
O  0.991  0.236  0.492

## Properties
Its energy above the most stable polymorph in this dataset is 3 meV/atom.


No. 2
Li2Mn3F8: optimized geometry, PBE+U.

a b c (Å): 6.376 5.784 10.288
angles (deg): 90.00 90.00 90.00
Sites, in units of the cell vectors:
Li  0.000  0.225  0.000
Li  0.000  0.756  0.555
Li  0.500  0.244  0.055
Li  0.500  0.775  0.500
Mn  0.000  0.020  0.282
Mn  0.247  0.480  0.774
Mn  0.253  0.520  0.274
Mn  0.500  0.980  0.782
Mn  0.747  0.520  0.274
Mn  0.753  0.480  0.774
F  0.000  0.353  0.374
F  0.000  0.444  0.642
F  0.000  0.523  0.906
F  0.000  0.697  0.178
F  0.221  0.832  0.398
F  0.222  0.197  0.159
F  0.278  0.803  0.659
F  0.279  0.168  0.898
F  0.500  0.303  0.678
F  0.500  0.477  0.406
F  0.500  0.556  0.142
F  0.500  0.647  0.874
F  0.721  0.168  0.898
F  0.722  0.803  0.659
F  0.778  0.197  0.159
F  0.779  0.832  0.398

## Properties
Its energy above the most stable polymorph in this dataset is 67 meV/atom.


No. 3
MoOsPb2O6: optimized geometry, PBE+U.

a b c (Å): 5.766 5.766 5.766
angles (deg): 60.00 60.00 60.00
Sites, in units of the cell vectors:
Mo  0.000  0.000  0.000
Os  0.500  0.500  0.500
Pb  0.250  0.250  0.250
Pb  0.750  0.750  0.750
O  0.258  0.258  0.742
O  0.258  0.742  0.258
O  0.258  0.742  0.742
O  0.742  0.258  0.258
O  0.742  0.258  0.742
O  0.742  0.742  0.258

## Properties
The value obtained for the total energy is -67.19 eV for the cell shown.


No. 4
LiV2Si2O8: optimized geometry, PBE+U.

a b c (Å): 4.871 10.113 5.845
angles (deg): 90.00 90.41 90.00
Sites, in units of the cell vectors:
Li  0.241  0.000  0.298
Li  0.759  0.500  0.702
V  0.245  0.750  0.991
V  0.255  0.283  0.510
V  0.745  0.783  0.490
V  0.755  0.250  0.009
Si  0.192  0.612  0.497
Si  0.317  0.423  0.012
Si  0.683  0.923  0.988
Si  0.808  0.112  0.503
O  0.013  0.900  0.004
O  0.030  0.687  0.717
O  0.041  0.700  0.289
O  0.083  0.460  0.497
O  0.390  0.582  0.013
O  0.477  0.123  0.486
O  0.481  0.341  0.217
O  0.489  0.354  0.796
O  0.511  0.854  0.204
O  0.519  0.841  0.783
O  0.523  0.623  0.514
O  0.610  0.082  0.987
O  0.917  0.960  0.503
O  0.959  0.200  0.711
O  0.970  0.187  0.283
O  0.987  0.400  0.996

## Properties
Its energy above the most stable polymorph in this dataset is 6 meV/atom.


Repeat the second record exactly.
Li2Mn3F8: optimized geometry, PBE+U.

a b c (Å): 6.376 5.784 10.288
angles (deg): 90.00 90.00 90.00
Sites, in units of the cell vectors:
Li  0.000  0.225  0.000
Li  0.000  0.756  0.555
Li  0.500  0.244  0.055
Li  0.500  0.775  0.500
Mn  0.000  0.020  0.282
Mn  0.247  0.480  0.774
Mn  0.253  0.520  0.274
Mn  0.500  0.980  0.782
Mn  0.747  0.520  0.274
Mn  0.753  0.480  0.774
F  0.000  0.353  0.374
F  0.000  0.444  0.642
F  0.000  0.523  0.906
F  0.000  0.697  0.178
F  0.221  0.832  0.398
F  0.222  0.197  0.159
F  0.278  0.803  0.659
F  0.279  0.168  0.898
F  0.500  0.303  0.678
F  0.500  0.477  0.406
F  0.500  0.556  0.142
F  0.500  0.647  0.874
F  0.721  0.168  0.898
F  0.722  0.803  0.659
F  0.778  0.197  0.159
F  0.779  0.832  0.398

## Properties
Its energy above the most stable polymorph in this dataset is 67 meV/atom.